1.
# PBE-GGA Ce4In5S13, relaxed
data_Ce4In5S13
_chemical_formula_sum 'Ce8 In10 S26'
_symmetry_space_group_name_H-M 'P b a m'
_symmetry_Int_Tables_number 55
_symmetry_space_group_name_Hall '-P 2 2ab'
_cell_length_a 12.063
_cell_length_b 21.783
_cell_length_c 3.975
_cell_angle_alpha 90.00
_cell_angle_beta 90.00
_cell_angle_gamma 90.00
loop_
_atom_site_label
_atom_site_type_symbol
_atom_site_fract_x
_atom_site_fract_y
_atom_site_fract_z
_atom_site_occupancy
Ce1 Ce 0.016 0.166 0.000 1
Ce2 Ce 0.166 0.341 0.000 1
In1 In 0.000 0.500 0.000 1
In2 In 0.154 0.670 0.500 1
In3 In 0.155 0.992 0.500 1
S1 S 0.000 0.000 0.000 1
S2 S 0.003 0.407 0.500 1
S3 S 0.078 0.258 0.500 1
S4 S 0.155 0.867 0.500 1
S5 S 0.163 0.113 0.500 1
S6 S 0.171 0.739 0.000 1
S7 S 0.203 0.478 0.000 1
# Formation enthalpy at 0 K ... -3138 kJ/mol of formula units
# Mass density ... 4.93 g/cm³
# M_tot ... 4.1 μB/f.u.
# Total energy after the MP2020 corrections ... -5.627 eV per atom

2.
# PBE-GGA CeTl2InSe4, relaxed
data_CeTl2InSe4
_chemical_formula_sum 'Ce2 Tl4 In2 Se8'
_symmetry_space_group_name_H-M 'I -4 2 m'
_symmetry_Int_Tables_number 121
_symmetry_space_group_name_Hall 'I -4 2'
_cell_length_a 8.014
_cell_length_b 8.014
_cell_length_c 7.362
_cell_angle_alpha 90.00
_cell_angle_beta 90.00
_cell_angle_gamma 90.00
loop_
_atom_site_label
_atom_site_type_symbol
_atom_site_fract_x
_atom_site_fract_y
_atom_site_fract_z
_atom_site_occupancy
Ce1 Ce 0.000 0.000 0.000 1
Tl1 Tl 0.000 0.500 0.000 1
In1 In 0.000 0.000 0.500 1
Se1 Se 0.184 0.184 0.723 1
# Formation enthalpy at 0 K ... -815 kJ/mol of formula units
# Mass density ... 6.88 g/cm³
# Total energy after the MP2020 corrections ... -4.480 eV per atom

3.
# PBE-GGA CeTmIn2, relaxed
data_CeTmIn2
_chemical_formula_sum 'Ce4 Tm4 In8'
_symmetry_space_group_name_H-M 'F m -3 m'
_symmetry_Int_Tables_number 225
_symmetry_space_group_name_Hall '-F 4 2 3'
_cell_length_a 7.674
_cell_length_b 7.674
_cell_length_c 7.674
_cell_angle_alpha 90.00
_cell_angle_beta 90.00
_cell_angle_gamma 90.00
loop_
_atom_site_label
_atom_site_type_symbol
_atom_site_fract_x
_atom_site_fract_y
_atom_site_fract_z
_atom_site_occupancy
Ce1 Ce 0.000 0.000 0.000 1
Tm1 Tm 0.000 0.000 0.500 1
In1 In 0.250 0.250 0.250 1
# Formation enthalpy at 0 K ... -149 kJ/mol of formula units
# Mass density ... 7.92 g/cm³

4.
# PBE-GGA CeYIn6, relaxed
data_CeYIn6
_chemical_formula_sum 'Ce1 Y1 In6'
_symmetry_space_group_name_H-M 'P 4/m m m'
_symmetry_Int_Tables_number 123
_symmetry_space_group_name_Hall '-P 4 2'
_cell_length_a 4.677
_cell_length_b 4.677
_cell_length_c 9.384
_cell_angle_alpha 90.00
_cell_angle_beta 90.00
_cell_angle_gamma 90.00
loop_
_atom_site_label
_atom_site_type_symbol
_atom_site_fract_x
_atom_site_fract_y
_atom_site_fract_z
_atom_site_occupancy
Ce1 Ce 0.000 0.000 0.000 1
Y1 Y 0.000 0.000 0.500 1
In1 In 0.000 0.500 0.251 1
In2 In 0.500 0.500 0.000 1
In3 In 0.500 0.500 0.500 1
# Formation enthalpy at 0 K ... -323 kJ/mol of formula units
# Mass density ... 7.42 g/cm³